Entry 1:
{"formula": "NaGdCu2F8", "functional": "PBE-GGA", "state": "relaxed", "delta_e_f_ev_per_atom": -2.903, "space_group": "I422 (97)", "energy_mp2020_ev_per_cell": -73.75, "cell": [[4.726, -4.424, -0.468], [4.039, 1.056, 4.970], [-6.446, -0.753, -0.056]], "species": ["F", "F", "F", "F", "F", "F", "F", "F", "Cu", "Cu", "Na", "Gd"], "fractional_positions": [[0.435, 0.291, 0.480], [0.811, 0.955, 0.520], [0.709, 0.565, 0.520], [0.291, 0.811, 0.856], [0.189, 0.709, 0.144], [0.045, 0.189, 0.480], [0.955, 0.435, 0.144], [0.565, 0.045, 0.856], [0.750, 0.250, 0.500], [0.250, 0.750, 0.500], [0.500, 0.500, 0.000], [0.000, 0.000, 0.000]]}

Entry 2:
{"formula": "LaNdTl2", "functional": "PBE-GGA", "state": "relaxed", "delta_e_f_ev_per_atom": -0.409, "space_group": "Fm-3m (225)", "cell": [[0.000, 3.955, 3.955], [3.955, 0.000, 3.955], [3.955, 3.955, 0.000]], "species": ["La", "Tl", "Tl", "Nd"], "fractional_positions": [[0.500, 0.500, 0.500], [0.750, 0.750, 0.750], [0.250, 0.250, 0.250], [0.000, 0.000, 0.000]]}

Entry 3:
{"formula": "Ca3Co3N5", "functional": "PBE-GGA", "state": "relaxed", "delta_e_f_ev_per_atom": -0.566, "space_group": "P-1 (2)", "energy_mp2020_ev_per_cell": -150.49, "cell": [[-2.226, -4.787, 1.664], [2.419, 1.711, 6.069], [-6.513, 4.780, -1.731]], "species": ["Co", "Co", "Co", "Co", "Co", "Co", "Ca", "Ca", "Ca", "Ca", "Ca", "Ca", "N", "N", "N", "N", "N", "N", "N", "N", "N", "N"], "fractional_positions": [[0.914, 0.321, 0.974], [0.104, 0.883, 0.713], [0.086, 0.679, 0.026], [0.687, 0.948, 0.562], [0.896, 0.117, 0.287], [0.313, 0.052, 0.438], [0.183, 0.589, 0.389], [0.342, 0.133, 0.130], [0.659, 0.667, 0.201], [0.658, 0.867, 0.870], [0.341, 0.333, 0.799], [0.817, 0.411, 0.611], [0.225, 0.769, 0.881], [0.748, 0.533, 0.904], [0.371, 0.949, 0.623], [0.629, 0.051, 0.377], [0.775, 0.231, 0.119], [0.066, 0.888, 0.223], [0.180, 0.301, 0.484], [0.820, 0.699, 0.516], [0.252, 0.467, 0.096], [0.934, 0.112, 0.777]]}

Entry 4:
{"formula": "Dy2Ga3Co", "functional": "PBE-GGA", "state": "relaxed", "delta_e_f_ev_per_atom": -0.554, "space_group": "Cm (8)", "cell": [[2.150, 5.146, 0.000], [-2.150, 5.146, 0.000], [0.000, 4.728, 5.237]], "species": ["Ga", "Ga", "Ga", "Dy", "Dy", "Co"], "fractional_positions": [[0.835, 0.835, 0.098], [0.148, 0.148, 0.318], [0.179, 0.179, 0.873], [0.456, 0.456, 0.297], [0.544, 0.544, 0.707], [0.839, 0.839, 0.708]]}

Entry 5:
{"formula": "Al2Si3H8N2O10", "functional": "PBE-GGA", "state": "relaxed", "delta_e_f_ev_per_atom": -2.171, "space_group": "P2_1 (4)", "energy_mp2020_ev_per_cell": -685.31, "cell": [[-5.369, -1.432, 3.559], [-6.259, -3.481, -10.844], [4.152, -12.253, 1.335]], "species": ["H", "H", "H", "H", "H", "H", "H", "H", "H", "H", "H", "H", "H", "H", "H", "H", "H", "H", "H", "H", "H", "H", "H", "H", "H", "H", "H", "H", "H", "H", "H", "H", "O", "O", "O", "O", "O", "O", "O", "O", "O", "O", "O", "O", "O", "O", "O", "O", "O", "O", "O", "O", "O", "O", "O", "O", "O", "O", "O", "O", "O", "O", "O", "O", "O", "O", "O", "O", "O", "O", "O", "O", "Si", "Si", "Si", "Si", "Si", "Si", "Si", "Si", "Si", "Si", "Si", "Si", "Al", "Al", "Al", "Al", "Al", "Al", "Al", "Al", "N", "N", "N", "N", "N", "N", "N", "N"], "fractional_positions": [[0.410, 0.498, 0.503], [0.730, 0.095, 0.086], [0.776, 0.531, 0.388], [0.970, 0.063, 0.116], [0.480, 0.548, 0.620], [0.276, 0.469, 0.612], [0.723, 0.623, 0.056], [0.230, 0.905, 0.914], [0.560, 0.878, 0.531], [0.223, 0.377, 0.944], [0.488, 0.916, 0.410], [0.013, 0.580, 0.405], [0.988, 0.084, 0.590], [0.013, 0.386, 0.019], [0.730, 0.885, 0.432], [0.285, 0.029, 0.878], [0.910, 0.502, 0.497], [0.150, 0.494, 0.995], [0.060, 0.122, 0.469], [0.362, 0.983, 0.995], [0.130, 0.004, 0.516], [0.513, 0.614, 0.981], [0.980, 0.452, 0.380], [0.630, 0.996, 0.484], [0.470, 0.937, 0.884], [0.745, 0.600, 0.927], [0.650, 0.506, 0.005], [0.513, 0.420, 0.595], [0.862, 0.017, 0.005], [0.230, 0.115, 0.568], [0.785, 0.971, 0.122], [0.245, 0.400, 0.073], [0.864, 0.000, 0.866], [0.951, 0.623, 0.819], [0.374, 0.308, 0.844], [0.050, 0.808, 0.890], [0.387, 0.186, 0.674], [0.093, 0.321, 0.697], [0.632, 0.134, 0.500], [0.778, 0.397, 0.806], [0.994, 0.889, 0.688], [0.417, 0.506, 0.364], [0.308, 0.885, 0.307], [0.494, 0.111, 0.312], [0.343, 0.683, 0.822], [0.152, 0.633, 0.993], [0.887, 0.814, 0.326], [0.278, 0.603, 0.194], [0.118, 0.151, 0.820], [0.652, 0.367, 0.007], [0.622, 0.652, 0.680], [0.236, 0.810, 0.118], [0.451, 0.377, 0.181], [0.534, 0.302, 0.388], [0.843, 0.317, 0.178], [0.122, 0.348, 0.320], [0.593, 0.679, 0.303], [0.714, 0.320, 0.619], [0.638, 0.822, 0.804], [0.917, 0.494, 0.636], [0.874, 0.692, 0.156], [0.866, 0.191, 0.346], [0.550, 0.192, 0.110], [0.808, 0.115, 0.693], [0.364, 0.000, 0.134], [0.618, 0.849, 0.180], [0.138, 0.178, 0.196], [0.132, 0.866, 0.500], [0.366, 0.809, 0.654], [0.034, 0.698, 0.612], [0.736, 0.190, 0.882], [0.214, 0.680, 0.381], [0.122, 0.689, 0.880], [0.875, 0.115, 0.814], [0.373, 0.618, 0.308], [0.247, 0.243, 0.759], [0.375, 0.885, 0.186], [0.496, 0.742, 0.740], [0.747, 0.757, 0.241], [0.873, 0.382, 0.692], [0.622, 0.311, 0.120], [0.625, 0.187, 0.385], [0.996, 0.258, 0.260], [0.125, 0.813, 0.615], [0.133, 0.809, 0.378], [0.382, 0.382, 0.312], [0.133, 0.687, 0.118], [0.380, 0.123, 0.192], [0.882, 0.618, 0.688], [0.633, 0.191, 0.622], [0.880, 0.877, 0.808], [0.633, 0.313, 0.882], [0.339, 0.964, 0.918], [0.918, 0.516, 0.417], [0.104, 0.082, 0.534], [0.157, 0.414, 0.007], [0.657, 0.586, 0.993], [0.418, 0.484, 0.583], [0.839, 0.036, 0.082], [0.604, 0.918, 0.466]]}

Entry 6:
{"formula": "Ba4VN4", "functional": "PBE-GGA", "state": "relaxed", "delta_e_f_ev_per_atom": -0.954, "space_group": "P-1 (2)", "energy_mp2020_ev_per_cell": -117.38, "cell": [[7.261, -0.108, 0.619], [2.522, 6.287, -0.284], [2.805, 2.015, 9.349]], "species": ["N", "N", "N", "N", "N", "N", "N", "N", "Ba", "Ba", "Ba", "Ba", "Ba", "Ba", "Ba", "Ba", "V", "V"], "fractional_positions": [[0.262, 0.413, 0.104], [0.994, 0.142, 0.152], [0.597, 0.062, 0.785], [0.006, 0.858, 0.848], [0.947, 0.755, 0.594], [0.053, 0.245, 0.406], [0.738, 0.587, 0.896], [0.403, 0.938, 0.215], [0.255, 0.913, 0.555], [0.204, 0.589, 0.344], [0.803, 0.611, 0.145], [0.320, 0.827, 0.973], [0.745, 0.087, 0.445], [0.197, 0.389, 0.855], [0.680, 0.173, 0.027], [0.796, 0.411, 0.656], [0.816, 0.822, 0.782], [0.184, 0.178, 0.218]]}

Entry 7:
{"formula": "NaMg14Ni", "functional": "PBE-GGA", "state": "relaxed", "delta_e_f_ev_per_atom": 0.058, "space_group": "Amm2 (38)", "cell": [[-4.250, -0.889, -4.660], [-1.802, -0.411, 6.159], [-2.091, 9.778, 0.041]], "species": ["Ni", "Mg", "Mg", "Mg", "Mg", "Mg", "Mg", "Mg", "Mg", "Mg", "Mg", "Mg", "Mg", "Mg", "Mg", "Na"], "fractional_positions": [[0.169, 0.334, 0.125], [0.327, 0.651, 0.366], [0.669, 0.339, 0.125], [0.327, 0.176, 0.366], [0.830, 0.665, 0.384], [0.847, 0.173, 0.890], [0.167, 0.334, 0.625], [0.665, 0.835, 0.625], [0.172, 0.836, 0.625], [0.327, 0.651, 0.884], [0.665, 0.329, 0.625], [0.327, 0.176, 0.884], [0.847, 0.173, 0.360], [0.830, 0.665, 0.866], [0.669, 0.830, 0.125], [0.165, 0.832, 0.125]]}

Entry 8:
{"formula": "Na3CaGaP2SO12", "functional": "PBE-GGA", "state": "relaxed", "delta_e_f_ev_per_atom": -2.528, "energy_mp2020_ev_per_cell": -803.41, "cell": [[-7.226, 1.177, 5.648], [4.787, -7.774, 0.176], [13.380, 9.484, 15.143]], "species": ["O", "O", "O", "O", "O", "O", "O", "O", "O", "O", "O", "O", "O", "O", "O", "O", "O", "O", "O", "O", "O", "O", "O", "O", "O", "O", "O", "O", "O", "O", "O", "O", "O", "O", "O", "O", "O", "O", "O", "O", "O", "O", "O", "O", "O", "O", "O", "O", "O", "O", "O", "O", "O", "O", "O", "O", "O", "O", "O", "O", "O", "O", "O", "O", "O", "O", "O", "O", "O", "O", "O", "O", "Ga", "Ga", "Ga", "Ga", "Ga", "Ga", "Na", "Na", "Na", "Na", "Na", "Na", "Na", "Na", "Na", "Na", "Na", "Na", "Na", "Na", "Na", "Na", "Na", "Na", "S", "S", "S", "S", "S", "S", "P", "P", "P", "P", "P", "P", "P", "P", "P", "P", "P", "P", "Ca", "Ca", "Ca", "Ca", "Ca", "Ca"], "fractional_positions": [[0.467, 0.147, 0.247], [0.014, 0.814, 0.414], [0.845, 0.292, 0.528], [0.853, 0.354, 0.918], [0.029, 0.800, 0.692], [0.630, 0.155, 0.423], [0.532, 0.864, 0.077], [0.192, 0.488, 0.257], [0.467, 0.345, 0.745], [0.296, 0.488, 0.757], [0.437, 0.133, 0.525], [0.132, 0.677, 0.475], [0.798, 0.010, 0.808], [0.198, 0.197, 0.410], [0.501, 0.354, 0.418], [0.696, 0.133, 0.025], [0.665, 0.530, 0.244], [0.878, 0.343, 0.642], [0.126, 0.453, 0.966], [0.830, 0.542, 0.032], [0.781, 0.959, 0.695], [0.994, 0.786, 0.800], [0.168, 0.687, 0.751], [0.681, 0.147, 0.747], [0.865, 0.530, 0.744], [0.858, 0.821, 0.590], [0.886, 0.551, 0.145], [0.525, 0.155, 0.923], [0.771, 0.800, 0.192], [0.465, 0.343, 0.142], [0.379, 0.876, 0.865], [0.163, 0.209, 0.699], [0.545, 0.677, 0.975], [0.878, 0.345, 0.245], [0.963, 0.821, 0.090], [0.219, 0.218, 0.811], [0.133, 0.481, 0.580], [0.553, 0.884, 0.478], [0.835, 0.021, 0.084], [0.793, 0.786, 0.300], [0.998, 0.218, 0.311], [0.497, 0.876, 0.365], [0.114, 0.626, 0.361], [0.104, 0.467, 0.858], [0.999, 0.197, 0.910], [0.332, 0.864, 0.577], [0.363, 0.467, 0.358], [0.134, 0.678, 0.079], [0.521, 0.820, 0.754], [0.448, 0.292, 0.028], [0.631, 0.486, 0.921], [0.660, 0.120, 0.133], [0.459, 0.120, 0.633], [0.800, 0.814, 0.914], [0.298, 0.820, 0.254], [0.186, 0.021, 0.584], [0.178, 0.959, 0.195], [0.855, 0.486, 0.421], [0.544, 0.678, 0.579], [0.511, 0.626, 0.861], [0.045, 0.209, 0.199], [0.801, 0.012, 0.412], [0.965, 0.153, 0.588], [0.188, 0.153, 0.088], [0.327, 0.453, 0.466], [0.211, 0.012, 0.912], [0.665, 0.551, 0.645], [0.712, 0.542, 0.532], [0.347, 0.481, 0.080], [0.332, 0.884, 0.978], [0.212, 0.010, 0.308], [0.519, 0.687, 0.251], [0.653, 0.352, 0.984], [0.699, 0.352, 0.484], [0.365, 0.685, 0.817], [0.032, 0.019, 0.150], [0.987, 0.019, 0.650], [0.320, 0.685, 0.317], [0.997, 0.362, 0.749], [0.663, 0.971, 0.578], [0.974, 0.304, 0.411], [0.308, 0.971, 0.078], [0.667, 0.319, 0.334], [0.996, 0.637, 0.245], [0.318, 0.652, 0.167], [0.985, 0.985, 0.501], [0.330, 0.304, 0.911], [0.032, 0.695, 0.582], [0.365, 0.362, 0.249], [0.698, 0.028, 0.916], [0.663, 0.695, 0.082], [0.000, 0.985, 0.001], [0.334, 0.652, 0.667], [0.641, 0.637, 0.745], [0.330, 0.028, 0.416], [0.652, 0.319, 0.834], [0.356, 0.039, 0.579], [0.022, 0.372, 0.913], [0.350, 0.372, 0.413], [0.683, 0.039, 0.079], [0.017, 0.706, 0.746], [0.689, 0.706, 0.246], [0.686, 0.641, 0.587], [0.955, 0.641, 0.087], [0.364, 0.324, 0.086], [0.353, 0.975, 0.920], [0.960, 0.324, 0.586], [0.698, 0.991, 0.752], [0.020, 0.308, 0.254], [0.289, 0.308, 0.754], [0.622, 0.975, 0.420], [0.626, 0.657, 0.919], [0.031, 0.657, 0.419], [0.293, 0.991, 0.252], [0.988, 0.993, 0.351], [0.321, 0.660, 0.018], [0.654, 0.327, 0.685], [0.672, 0.327, 0.185], [0.339, 0.660, 0.518], [0.006, 0.993, 0.851]]}

Entry 9:
{"formula": "Ca2MgAl2Si3O14", "functional": "PBE-GGA", "state": "relaxed", "delta_e_f_ev_per_atom": -2.913, "space_group": "C2/m (12)", "energy_mp2020_ev_per_cell": -325.48, "cell": [[-8.777, 1.520, 5.297], [-7.140, -4.137, 6.270], [3.775, 2.404, 7.626]], "species": ["Si", "Si", "Si", "Si", "Si", "Si", "O", "O", "O", "O", "O", "O", "O", "O", "O", "O", "O", "O", "O", "O", "O", "O", "O", "O", "O", "O", "O", "O", "O", "O", "O", "O", "O", "O", "Ca", "Ca", "Ca", "Ca", "Mg", "Mg", "Al", "Al", "Al", "Al"], "fractional_positions": [[0.087, 0.087, 0.447], [0.597, 0.597, 0.969], [0.913, 0.913, 0.553], [0.755, 0.755, 0.658], [0.245, 0.245, 0.342], [0.403, 0.403, 0.031], [0.327, 0.327, 0.976], [0.011, 0.480, 0.245], [0.542, 0.542, 0.638], [0.673, 0.673, 0.024], [0.186, 0.186, 0.985], [0.946, 0.946, 0.372], [0.458, 0.458, 0.362], [0.845, 0.294, 0.356], [0.797, 0.365, 0.859], [0.635, 0.203, 0.141], [0.365, 0.797, 0.859], [0.170, 0.170, 0.462], [0.972, 0.972, 0.868], [0.543, 0.543, 0.127], [0.203, 0.635, 0.141], [0.814, 0.814, 0.015], [0.694, 0.694, 0.554], [0.706, 0.155, 0.644], [0.520, 0.989, 0.755], [0.989, 0.520, 0.755], [0.306, 0.306, 0.446], [0.028, 0.028, 0.132], [0.054, 0.054, 0.628], [0.294, 0.845, 0.356], [0.155, 0.706, 0.644], [0.457, 0.457, 0.873], [0.830, 0.830, 0.538], [0.480, 0.011, 0.245], [0.843, 0.843, 0.253], [0.654, 0.654, 0.320], [0.346, 0.346, 0.680], [0.157, 0.157, 0.747], [0.500, 0.000, 0.000], [0.000, 0.500, 0.000], [0.252, 0.740, 0.244], [0.740, 0.252, 0.244], [0.260, 0.748, 0.756], [0.748, 0.260, 0.756]]}

Entry 10:
{"formula": "Y2InNi2", "functional": "PBE-GGA", "state": "relaxed", "delta_e_f_ev_per_atom": -0.501, "space_group": "P4/mbm (127)", "cell": [[-5.926, 4.519, 0.369], [-3.728, -4.511, -4.629], [-1.278, -1.912, 2.893]], "species": ["In", "In", "Ni", "Ni", "Ni", "Ni", "Y", "Y", "Y", "Y"], "fractional_positions": [[0.000, 0.000, 0.000], [0.500, 0.500, 0.000], [0.880, 0.380, 0.000], [0.120, 0.620, 0.000], [0.620, 0.880, 0.000], [0.380, 0.120, 0.000], [0.674, 0.174, 0.500], [0.826, 0.674, 0.500], [0.174, 0.326, 0.500], [0.326, 0.826, 0.500]]}

Entry 11:
{"formula": "InS", "functional": "PBE-GGA", "state": "relaxed", "delta_e_f_ev_per_atom": -0.715, "space_group": "P2_1/c (14)", "energy_mp2020_ev_per_cell": -33.27, "cell": [[-2.360, -10.946, 0.190], [1.441, -0.244, 3.816], [-2.368, 0.600, 5.129]], "species": ["S", "S", "S", "S", "In", "In", "In", "In"], "fractional_positions": [[0.151, 0.003, 0.501], [0.651, 0.997, 0.999], [0.349, 0.003, 0.001], [0.849, 0.997, 0.499], [0.623, 0.109, 0.434], [0.123, 0.891, 0.066], [0.877, 0.109, 0.934], [0.377, 0.891, 0.566]]}